NbI3 | PBE | relaxed

Results
- Space-group type: P6_3/mcm
- Energy with MP2020 corrections: -35.282 eV per cell
- Raw total energy: -4.1260 eV per atom

abc: 7.8559 7.8559 6.7834
angles: 90.00 90.00 120.00
Sites, in units of the cell vectors:
Nb1 0.0000 0.0000 0.0000
Nb2 0.0000 0.0000 0.5000
I1 0.0000 0.2899 0.2500
I2 0.0000 0.7101 0.7500
I3 0.2899 0.0000 0.2500
I4 0.2899 0.2899 0.7500
I5 0.7101 0.0000 0.7500
I6 0.7101 0.7101 0.2500